This record from Materials Project describes a geometry-optimized Li2V12O29 structure. The functional is GGA+U.

Geometry as extended XYZ:
```
43
Lattice="1.8385 14.1622 0.0000 -1.8385 14.1622 0.0000 0.0000 2.1173 10.1572" Properties=species:S:1:pos:R:3 pbc="T T T"
V 0.0000 23.3909 0.3333
O 0.0000 27.4548 9.2523
O 0.0000 15.5251 2.2632
O 0.0000 5.7634 8.5167
O 0.0000 13.8213 5.1805
O 0.0000 23.2679 4.1543
Li 0.0000 22.5296 6.0773
O 0.0000 20.6869 3.6311
O 0.0000 12.2339 0.4729
O 0.0000 25.9258 5.3274
O 0.0000 18.9399 0.1468
V 0.0000 12.2634 5.4991
V 0.0000 13.5717 8.7521
O 0.0000 0.0000 0.0000
O 0.0000 7.1738 6.0030
V 0.0000 20.1464 2.0483
V 0.0000 16.8699 1.4051
O 0.0000 4.5159 4.8298
O 0.0000 18.1872 2.7485
O 0.0000 11.2781 3.7891
O 0.0000 16.6203 4.9767
O 0.0000 18.2077 9.6844
O 0.0000 11.5018 10.0105
O 0.0000 12.2545 7.4087
O 0.0000 27.1647 2.4913
O 0.0000 19.1636 6.3681
V 0.0000 10.2953 8.1089
V 0.0000 3.6893 9.2387
O 0.0000 24.6783 1.6405
V 0.0000 26.7524 0.9185
Li 0.0000 7.9121 4.0799
O 0.0000 24.6526 8.6983
O 0.0000 5.7891 1.4589
O 0.0000 3.2769 7.6659
V 0.0000 18.1783 4.6581
O 0.0000 8.4469 8.8782
V 0.0000 5.5648 6.5319
O 0.0000 21.9948 1.2790
V 0.0000 7.0507 9.8239
O 0.0000 2.9869 0.9049
V 0.0000 24.8769 3.6254
O 0.0000 14.9166 7.8940
O 0.0000 9.7547 6.5261
```

Properties
* raw total energy: -7.354 eV/atom
* total magnetic moment: 3.999 μB per cell